Record 1
SiO2 after structural relaxation. Source: Materials Project, functional meta-GGA r2SCAN.

Results
Symmetry: I-43m (217)

a = 7.7223 Å, b = 7.7223 Å, c = 7.7223 Å
α = 109.47°, β = 109.47°, γ = 109.47°
Last column: nearest neighbours and their distance in Å.
Fractional positions:
1 Si 0.5000 0.7500 0.2500  4 O 1.61
2 Si 0.7500 0.5000 0.2500  4 O 1.61
3 Si 0.2500 0.7500 0.5000  4 O 1.61
4 Si 0.2500 0.5000 0.7500  4 O 1.61
5 Si 0.5000 0.2500 0.7500  4 O 1.61
6 Si 0.7500 0.2500 0.5000  4 O 1.61
7 O 0.6626 0.3684 0.0000  2 Si 1.61
8 O 0.2943 0.6316 0.6316  2 Si 1.61
9 O 0.6626 0.0000 0.3684  2 Si 1.61
10 O 0.3684 0.6626 0.0000  2 Si 1.61
11 O 0.0000 0.6626 0.3684  2 Si 1.61
12 O 0.6316 0.2943 0.6316  2 Si 1.61
13 O 0.6316 0.6316 0.2943  2 Si 1.61
14 O 0.0000 0.3684 0.6626  2 Si 1.61
15 O 0.3684 0.0000 0.6626  2 Si 1.61
16 O 0.3374 0.3374 0.7057  2 Si 1.61
17 O 0.7057 0.3374 0.3374  2 Si 1.61
18 O 0.3374 0.7057 0.3374  2 Si 1.61

---

Record 2
LaTeAs after structural relaxation. Source: Materials Project, functional meta-GGA r2SCAN.

Results
Symmetry: Pnma (62)

a = 4.2003 Å, b = 7.9328 Å, c = 10.4021 Å
α = 90.00°, β = 90.00°, γ = 90.00°
Last column: nearest neighbours and their distance in Å.
Fractional positions:
1 La 0.2500 0.7234 0.1557  4 As 3.13-3.36, 5 Te 3.25-3.36
2 La 0.7500 0.2766 0.8443  4 As 3.13-3.36, 5 Te 3.25-3.36
3 La 0.2500 0.2234 0.3443  4 As 3.13-3.36, 5 Te 3.25-3.36
4 La 0.7500 0.7766 0.6557  4 As 3.13-3.36, 5 Te 3.25-3.36
5 Te 0.2500 0.0925 0.6516  5 La 3.25-3.36, 2 As 3.50
6 Te 0.7500 0.4075 0.1516  5 La 3.25-3.36, 2 As 3.50
7 Te 0.2500 0.5925 0.8484  5 La 3.25-3.36, 2 As 3.50
8 Te 0.7500 0.9075 0.3484  5 La 3.25-3.36, 2 As 3.50
9 As 0.7500 0.4129 0.5384  2 As 2.64
10 As 0.2500 0.0871 0.0384  2 As 2.64
11 As 0.7500 0.9129 0.9616  2 As 2.64
12 As 0.2500 0.5871 0.4616  2 As 2.64

---

Record 3
Ca2B2O5 after structural relaxation. Source: Materials Project, functional meta-GGA r2SCAN.

Results
Offset from the most stable computed form (meV per atom): 0
Symmetry: P2_12_12_1 (19)

a = 3.5480 Å, b = 6.3530 Å, c = 19.2592 Å
α = 90.00°, β = 90.00°, γ = 90.00°
Last column: nearest neighbours and their distance in Å.
Fractional positions:
1 Ca 0.7035 0.7009 0.2894  6 O 2.32-2.41
2 Ca 0.7965 0.2991 0.7894  6 O 2.32-2.41
3 Ca 0.2035 0.7991 0.7106  6 O 2.32-2.41
4 Ca 0.2965 0.2009 0.2106  6 O 2.32-2.41
5 Ca 0.2024 0.9446 0.4381  6 O 2.31-2.51
6 Ca 0.2976 0.0554 0.9381  6 O 2.31-2.51
7 Ca 0.7024 0.5554 0.5619  6 O 2.31-2.51
8 Ca 0.7976 0.4446 0.0619  6 O 2.31-2.51
9 B 0.8147 0.2181 0.3435  3 O 1.36-1.42
10 B 0.6853 0.7819 0.8435  3 O 1.36-1.42
11 B 0.3147 0.2819 0.6565  3 O 1.36-1.42
12 B 0.1853 0.7181 0.1565  3 O 1.36-1.42
13 B 0.8564 0.0029 0.0824  3 O 1.36-1.42
14 B 0.6436 0.9971 0.5824  3 O 1.36-1.42
15 B 0.3564 0.4971 0.9176  3 O 1.36-1.42
16 B 0.1436 0.5029 0.4176  3 O 1.36-1.42
17 O 0.2013 0.5572 0.4848  1 B 1.36
18 O 0.2987 0.4428 0.9848  1 B 1.36
19 O 0.7013 0.9428 0.5152  1 B 1.36
20 O 0.7987 0.0572 0.0152  1 B 1.36
21 O 0.2060 0.6425 0.3654  1 B 1.36
22 O 0.2940 0.3575 0.8654  1 B 1.36
23 O 0.7060 0.8575 0.6346  1 B 1.36
24 O 0.7940 0.1425 0.1346  1 B 1.36
25 O 0.6859 0.0180 0.3522  1 B 1.36
26 O 0.8141 0.9820 0.8522  1 B 1.36
27 O 0.1859 0.4820 0.6478  1 B 1.36
28 O 0.3141 0.5180 0.1478  1 B 1.36
29 O 0.9974 0.3000 0.4036  2 B 1.42
30 O 0.5026 0.7000 0.9036  2 B 1.42
31 O 0.4974 0.2000 0.5964  2 B 1.42
32 O 0.0026 0.8000 0.0964  2 B 1.42
33 O 0.7913 0.3278 0.2830  1 B 1.36
34 O 0.7087 0.6722 0.7830  1 B 1.36
35 O 0.2913 0.1722 0.7170  1 B 1.36
36 O 0.2087 0.8278 0.2170  1 B 1.36

---

Record 4
Hg after structural relaxation. Source: Materials Project, functional meta-GGA r2SCAN.

Results
Offset from the most stable computed form (meV per atom): 11
Symmetry: C2/m (12)

a = 3.1393 Å, b = 4.3377 Å, c = 4.3377 Å
α = 93.86°, β = 73.67°, γ = 106.33°
Last column: nearest neighbours and their distance in Å.
Fractional positions:
1 Hg 0.9973 0.9944 0.0056  6 Hg 3.02-3.14
2 Hg 0.2527 0.5056 0.4944  6 Hg 3.02-3.14

---

Table of calculated formation energy (eV/atom), in record order: -3.021, -1.511, -3.072, 0.011